# Cs3Cr2I9 r2SCAN relaxed
# relative energy among the computed polymorphs: 16.3 meV per atom
# ΔE_f: -1.144 eV per atom
data_Cs3Cr2I9
_chemical_formula_sum 'Cs18 Cr12 I54'
_space_group_name_H-M_alt 'R -3 c'
_space_group_IT_number 167
_space_group_name_Hall '-R 3 2"c'
_cell_length_a 13.9886
_cell_length_b 13.9886
_cell_length_c 21.2529
_cell_angle_alpha 90.00
_cell_angle_beta 90.00
_cell_angle_gamma 120.00
loop_
_atom_site_label
_atom_site_type_symbol
_atom_site_fract_x
_atom_site_fract_y
_atom_site_fract_z
Cs1 Cs 0.0000 0.3393 0.2500
Cr1 Cr 0.0000 0.0000 0.1655
I1 I 0.0000 0.1545 0.7500
I2 I 0.0023 0.1643 0.4027

# Bi r2SCAN relaxed
# relative energy among the computed polymorphs: 81.7 meV per atom
# ΔE_f: 0.082 eV per atom
data_Bi
_chemical_formula_sum 'Bi4'
_space_group_name_H-M_alt 'C 1 2/m 1'
_space_group_IT_number 12
_space_group_name_Hall '-C 2y'
_cell_length_a 7.044
_cell_length_b 6.310
_cell_length_c 3.345
_cell_angle_alpha 90.00
_cell_angle_beta 115.98
_cell_angle_gamma 90.00
loop_
_atom_site_label
_atom_site_type_symbol
_atom_site_fract_x
_atom_site_fract_y
_atom_site_fract_z
Bi1 Bi 0.250 0.000 0.127

# TlBi2 r2SCAN relaxed
# ΔE_f: 0.015 eV per atom
data_TlBi2
_chemical_formula_sum 'Tl1 Bi2'
_space_group_name_H-M_alt 'P 6/m m m'
_space_group_IT_number 191
_space_group_name_Hall '-P 6 2'
_cell_length_a 5.7087
_cell_length_b 5.7087
_cell_length_c 3.3938
_cell_angle_alpha 90.00
_cell_angle_beta 90.00
_cell_angle_gamma 120.00
loop_
_atom_site_label
_atom_site_type_symbol
_atom_site_fract_x
_atom_site_fract_y
_atom_site_fract_z
Tl1 Tl 0.0000 0.0000 0.0000
Bi1 Bi 0.3333 0.6667 0.5000

# TaMn2 r2SCAN relaxed
# ΔE_f: -0.131 eV per atom
data_TaMn2
_chemical_formula_sum 'Ta4 Mn8'
_space_group_name_H-M_alt 'P 63/m m c'
_space_group_IT_number 194
_space_group_name_Hall '-P 6c 2c'
_cell_length_a 4.9517
_cell_length_b 4.9517
_cell_length_c 7.8692
_cell_angle_alpha 90.00
_cell_angle_beta 90.00
_cell_angle_gamma 120.00
loop_
_atom_site_label
_atom_site_type_symbol
_atom_site_fract_x
_atom_site_fract_y
_atom_site_fract_z
Ta1 Ta 0.3333 0.6667 0.0603
Mn1 Mn 0.0000 0.0000 0.0000
Mn2 Mn 0.1699 0.3399 0.7500

no.,electronic total energy (eV/atom)
1,-24.465
2,-58.421
3,-56.713
4,-26.117